[1]
Ba2Ca2Ti3Tl2O10 | PBE | relaxed

Cell and atoms, written as CIF:
```
data_Ba2Ca2Ti3Tl2O10
_cell_length_a 3.928
_cell_length_b 3.931
_cell_length_c 19.861
_cell_angle_alpha 94.63
_cell_angle_beta 95.29
_cell_angle_gamma 90.03
_space_group_name_H-M_alt 'P 1'
_space_group_IT_number 1
_space_group_name_Hall 'P 1'
loop_
_atom_site_label
_atom_site_fract_x
_atom_site_fract_y
_atom_site_fract_z
Ba1 0.000 0.000 0.000
Ba2 0.299 0.264 0.639
Ca1 0.104 0.100 0.228
Ca2 0.188 0.166 0.412
Ti1 0.564 0.564 0.136
Ti2 0.645 0.633 0.320
Ti3 0.733 0.703 0.503
Tl1 0.374 0.420 0.877
Tl2 0.817 0.858 0.762
O1 0.072 0.573 0.158
O2 0.145 0.632 0.320
O3 0.220 0.694 0.481
O4 0.251 0.393 0.760
O5 0.527 0.529 0.046
O6 0.572 0.073 0.158
O7 0.645 0.133 0.320
O8 0.720 0.194 0.482
O9 0.779 0.737 0.594
O10 0.793 0.897 0.880
```

Computed properties:
ΔH_f (0 K): -2791 meV/atom

=====

[2]
Mg16TaAl12 | PBE | relaxed

Cell and atoms, written as CIF:
```
data_Mg16TaAl12
_cell_length_a 14.7455
_cell_length_b 14.7455
_cell_length_c 9.1002
_cell_angle_alpha 90.00
_cell_angle_beta 90.00
_cell_angle_gamma 120.00
_space_group_name_H-M_alt 'R 3 m'
_space_group_IT_number 160
_space_group_name_Hall 'R 3 -2"'
loop_
_atom_site_label
_atom_site_fract_x
_atom_site_fract_y
_atom_site_fract_z
Mg1 0.0000 0.0000 0.0000
Mg2 0.0364 0.3608 0.3604
Mg3 0.1031 0.5515 0.5509
Mg4 0.1042 0.2083 0.4916
Mg5 0.2005 0.4009 0.1168
Ta1 0.0000 0.0000 0.3314
Al1 0.0009 0.1802 0.1875
Al2 0.1232 0.0616 0.6906
Al3 0.2108 0.4216 0.6021
```

Computed properties:
ΔH_f (0 K): 7 meV/atom

=====

[3]
La2MgS4 | PBE | relaxed

Cell and atoms, written as CIF:
```
data_La2MgS4
_cell_length_a 13.265
_cell_length_b 7.981
_cell_length_c 13.144
_cell_angle_alpha 90.00
_cell_angle_beta 90.00
_cell_angle_gamma 90.00
_space_group_name_H-M_alt 'P c a 21'
_space_group_IT_number 29
_space_group_name_Hall 'P 2c -2ac'
loop_
_atom_site_label
_atom_site_fract_x
_atom_site_fract_y
_atom_site_fract_z
La1 0.110 0.113 0.000
La2 0.127 0.614 0.641
La3 0.135 0.368 0.310
La4 0.136 0.869 0.308
Mg1 0.111 0.615 0.009
Mg2 0.126 0.120 0.636
S1 0.010 0.115 0.195
S2 0.026 0.614 0.445
S3 0.027 0.627 0.182
S4 0.049 0.125 0.457
S5 0.209 0.118 0.810
S6 0.210 0.618 0.841
S7 0.231 0.861 0.087
S8 0.235 0.359 0.092
```

Computed properties:
Energy above the most stable polymorph in this dataset: 0.0107 eV/atom
ΔH_f (0 K): -2198 meV/atom

=====

[4]
Na3YC3O9 | PBE | relaxed

Cell and atoms, written as CIF:
```
data_Na3YC3O9
_cell_length_a 9.980
_cell_length_b 11.032
_cell_length_c 7.133
_cell_angle_alpha 90.00
_cell_angle_beta 90.00
_cell_angle_gamma 90.00
_space_group_name_H-M_alt 'A m a 2'
_space_group_IT_number 40
_space_group_name_Hall 'A 2 -2a'
loop_
_atom_site_label
_atom_site_fract_x
_atom_site_fract_y
_atom_site_fract_z
Na1 0.000 0.000 0.000
Na2 0.250 0.018 0.318
Na3 0.250 0.296 0.433
Y1 0.250 0.227 0.930
C1 0.001 0.293 0.758
C2 0.250 0.012 0.705
O1 0.012 0.192 0.846
O2 0.110 0.358 0.735
O3 0.113 0.167 0.198
O4 0.250 0.011 0.890
O5 0.250 0.117 0.624
O6 0.250 0.412 0.111
```

Computed properties:
ΔH_f (0 K): -2380 meV/atom